Here is crystalline K2DyCl5 at its relaxed geometry from the Materials Project database. Energies are from r²SCAN.

Properties
* formation energy from the elements: -2.420 eV per atom
* SG: Pnma

Unit cell a=12.6654 b=8.5447 c=7.9167 alpha=90.00 beta=90.00 gamma=90.00
Closest atoms and distances in Å follow each position.
Fractional coordinates of all 32 atoms:
1 K 0.1715 0.0054 0.0567  8 Cl 3.13-3.37
2 K 0.1715 0.4946 0.0567  8 Cl 3.13-3.37
3 K 0.3285 0.5054 0.5567  8 Cl 3.13-3.37
4 K 0.3285 0.9946 0.5567  8 Cl 3.13-3.37
5 K 0.6715 0.0054 0.4433  8 Cl 3.13-3.37
6 K 0.6715 0.4946 0.4433  8 Cl 3.13-3.37
7 K 0.8285 0.5054 0.9433  8 Cl 3.13-3.37
8 K 0.8285 0.9946 0.9433  8 Cl 3.13-3.37
9 Dy 0.0049 0.2500 0.5752  7 Cl 2.67-2.77
10 Dy 0.4951 0.7500 0.0752  7 Cl 2.67-2.77
11 Dy 0.5049 0.2500 0.9248  7 Cl 2.67-2.77
12 Dy 0.9951 0.7500 0.4248  7 Cl 2.67-2.77
13 Cl 0.0099 0.2500 0.9168  1 Dy 2.71
14 Cl 0.0726 0.5436 0.6649  2 Dy 2.74-2.77
15 Cl 0.0726 0.9564 0.6649  2 Dy 2.74-2.77
16 Cl 0.1773 0.2500 0.3817  1 Dy 2.67
17 Cl 0.1997 0.7500 0.3434  1 Dy 2.67
18 Cl 0.3003 0.2500 0.8434  1 Dy 2.67
19 Cl 0.3227 0.7500 0.8817  1 Dy 2.67
20 Cl 0.4274 0.0436 0.1649  2 Dy 2.74-2.77
21 Cl 0.4274 0.4564 0.1649  2 Dy 2.74-2.77
22 Cl 0.4901 0.7500 0.4168  1 Dy 2.71
23 Cl 0.5099 0.2500 0.5832  1 Dy 2.71
24 Cl 0.5726 0.5436 0.8351  2 Dy 2.74-2.77
25 Cl 0.5726 0.9564 0.8351  2 Dy 2.74-2.77
26 Cl 0.6773 0.2500 0.1183  1 Dy 2.67
27 Cl 0.6997 0.7500 0.1566  1 Dy 2.67
28 Cl 0.8003 0.2500 0.6566  1 Dy 2.67
29 Cl 0.8227 0.7500 0.6183  1 Dy 2.67
30 Cl 0.9274 0.0436 0.3351  2 Dy 2.74-2.77
31 Cl 0.9274 0.4564 0.3351  2 Dy 2.74-2.77
32 Cl 0.9901 0.7500 0.0832  1 Dy 2.71

Here is crystalline Ce3Sn7 at its relaxed geometry from the Materials Project database. Energies are from r²SCAN.

Properties
* formation energy from the elements: -0.627 eV per atom
* SG: P2/m

Unit cell a=4.5774 b=4.6416 c=13.1824 alpha=90.00 beta=100.06 gamma=90.00
Closest atoms and distances in Å follow each position.
Fractional coordinates of all 10 atoms:
1 Ce 0.0000 0.0000 0.0000  12 Sn 3.26-3.37
2 Ce 0.1839 0.0000 0.3662  10 Sn 3.27-3.58
3 Ce 0.8161 0.0000 0.6338  10 Sn 3.27-3.58
4 Sn 0.0940 0.5000 0.1887  6 Sn 3.26-3.35, 4 Ce 3.27-3.37
5 Sn 0.2878 0.5000 0.5763  2 Sn 3.02-3.03, 4 Ce 3.34-3.35
6 Sn 0.4063 0.0000 0.8133  6 Sn 3.26-3.36, 4 Ce 3.27-3.33
7 Sn 0.5000 0.5000 0.0000  4 Ce 3.26, 8 Sn 3.35-3.36
8 Sn 0.5937 0.0000 0.1867  6 Sn 3.26-3.36, 4 Ce 3.27-3.33
9 Sn 0.7122 0.5000 0.4237  2 Sn 3.02-3.03, 4 Ce 3.34-3.35
10 Sn 0.9060 0.5000 0.8113  6 Sn 3.26-3.35, 4 Ce 3.27-3.37

Here is crystalline V4P3 at its relaxed geometry from the Materials Project database. Energies are from r²SCAN.

Properties
* formation energy from the elements: -0.901 eV per atom
* SG: Cmcm

Unit cell a=6.8155 b=6.8155 c=17.0626 alpha=90.00 beta=90.00 gamma=152.43
Closest atoms and distances in Å follow each position.
Fractional coordinates of all 28 atoms:
1 V 0.0000 0.0000 0.0000  4 P 2.38-2.45, 4 V 2.63
2 V 0.0000 0.0000 0.5000  4 P 2.38-2.45, 4 V 2.63
3 V 0.0616 0.9384 0.7500  6 P 2.33-2.47
4 V 0.2648 0.7352 0.6597  6 P 2.31-2.58
5 V 0.2648 0.7352 0.8403  6 P 2.31-2.58
6 V 0.3308 0.6692 0.0265  5 P 2.40-2.46
7 V 0.3308 0.6692 0.4735  5 P 2.40-2.46
8 V 0.4677 0.5323 0.6185  5 P 2.33-2.42
9 V 0.4677 0.5323 0.8815  5 P 2.33-2.42
10 V 0.5323 0.4677 0.1185  5 P 2.33-2.42
11 V 0.5323 0.4677 0.3815  5 P 2.33-2.42
12 V 0.6692 0.3308 0.5265  5 P 2.40-2.46
13 V 0.6692 0.3308 0.9735  5 P 2.40-2.46
14 V 0.7352 0.2648 0.1597  6 P 2.31-2.58
15 V 0.7352 0.2648 0.3403  6 P 2.31-2.58
16 V 0.9384 0.0616 0.2500  6 P 2.33-2.47
17 P 0.0989 0.9011 0.6167  7 V 2.31-2.42
18 P 0.0989 0.9011 0.8833  7 V 2.31-2.42
19 P 0.1567 0.8433 0.0767  8 V 2.39-2.46
20 P 0.1567 0.8433 0.4233  8 V 2.39-2.46
21 P 0.3015 0.6985 0.2500  6 V 2.40-2.43
22 P 0.4211 0.5789 0.7500  6 V 2.33-2.58
23 P 0.5789 0.4211 0.2500  6 V 2.33-2.58
24 P 0.6985 0.3015 0.7500  6 V 2.40-2.43
25 P 0.8433 0.1567 0.5767  8 V 2.39-2.46
26 P 0.8433 0.1567 0.9233  8 V 2.39-2.46
27 P 0.9011 0.0989 0.1167  7 V 2.31-2.42
28 P 0.9011 0.0989 0.3833  7 V 2.31-2.42

Here is crystalline PrC2 at its relaxed geometry from the Materials Project database. Energies are from r²SCAN.

Properties
* formation energy from the elements: -0.270 eV per atom
* SG: I4/mmm

Unit cell a=4.2573 b=4.2573 c=4.2573 alpha=125.76 beta=125.76 gamma=80.29
Closest atoms and distances in Å follow each position.
Fractional coordinates of all 3 atoms:
1 Pr 0.0000 0.0000 0.0000  10 C 2.61-2.82
2 C 0.4010 0.4010 0.0000  1 C 1.29
3 C 0.5990 0.5990 0.0000  1 C 1.29

Here is crystalline FeOF at its relaxed geometry from the Materials Project database. Energies are from r²SCAN.

Properties
* formation energy from the elements: -1.991 eV per atom
* SG: Pmc2_1

Unit cell a=3.0638 b=6.6058 c=6.5914 alpha=90.00 beta=90.00 gamma=90.00
Closest atoms and distances in Å follow each position.
Fractional coordinates of all 12 atoms:
1 Fe 0.0000 0.2247 0.0000  3 O 1.92-1.93, 3 F 2.09-2.11
2 Fe 0.0000 0.7753 0.5000  3 O 1.92-1.93, 3 F 2.09-2.11
3 Fe 0.5000 0.2422 0.5373  3 O 1.91-1.94, 3 F 2.08-2.13
4 Fe 0.5000 0.7578 0.0373  3 O 1.91-1.94, 3 F 2.08-2.13
5 O 0.0000 0.2629 0.7093  3 Fe 1.91-1.93
6 O 0.0000 0.7371 0.2093  3 Fe 1.91-1.93
7 O 0.5000 0.0500 0.0136  3 Fe 1.92-1.94
8 O 0.5000 0.9500 0.5136  3 Fe 1.92-1.94
9 F 0.0000 0.2635 0.3147  3 Fe 2.09-2.13
10 F 0.0000 0.7365 0.8147  3 Fe 2.09-2.13
11 F 0.5000 0.4433 0.0140  3 Fe 2.08-2.11
12 F 0.5000 0.5567 0.5140  3 Fe 2.08-2.11

Here is crystalline Sc6Te2Rh at its relaxed geometry from the Materials Project database. Energies are from r²SCAN.

Properties
* formation energy from the elements: -0.861 eV per atom
* SG: P-62m

Unit cell a=7.7875 b=7.7875 c=3.8024 alpha=90.00 beta=90.00 gamma=120.00
Closest atoms and distances in Å follow each position.
Fractional coordinates of all 9 atoms:
1 Sc 0.0000 0.2405 0.0000  2 Rh 2.67
2 Sc 0.0000 0.6088 0.5000  1 Rh 3.05, 4 Te 3.06, 4 Sc 3.27
3 Sc 0.2405 0.0000 0.0000  2 Rh 2.67
4 Sc 0.3912 0.3912 0.5000  1 Rh 3.05, 4 Te 3.06, 4 Sc 3.27
5 Sc 0.6088 0.0000 0.5000  1 Rh 3.05, 4 Te 3.06, 4 Sc 3.27
6 Sc 0.7595 0.7595 0.0000  2 Rh 2.67
7 Te 0.3333 0.6667 0.0000  9 Sc 3.02-3.06
8 Te 0.6667 0.3333 0.0000  9 Sc 3.02-3.06
9 Rh 0.0000 0.0000 0.5000  6 Sc 2.67

Here is crystalline Rb3InO3 at its relaxed geometry from the Materials Project database. Energies are from r²SCAN.

Properties
* formation energy from the elements: -1.523 eV per atom
* polymorph energy (0 for the lowest one): 7.9 meV per atom
* SG: C2/m

Unit cell a=7.0617 b=7.0617 c=6.9936 alpha=95.87 beta=95.87 gamma=114.54
Closest atoms and distances in Å follow each position.
Fractional coordinates of all 14 atoms:
1 Rb 0.1948 0.8052 0.0000  2 O 2.78
2 Rb 0.2590 0.7410 0.5000  4 O 2.89-3.03
3 Rb 0.3686 0.3686 0.1480  1 O 2.66
4 Rb 0.6314 0.6314 0.8520  1 O 2.66
5 Rb 0.7410 0.2590 0.5000  4 O 2.89-3.03
6 Rb 0.8052 0.1948 0.0000  2 O 2.78
7 In 0.1773 0.1773 0.6491  4 O 2.04-2.13
8 In 0.8227 0.8227 0.3509  4 O 2.04-2.13
9 O 0.0995 0.0995 0.3396  2 In 2.13
10 O 0.1599 0.4436 0.7711  1 In 2.04
11 O 0.4436 0.1599 0.7711  1 In 2.04
12 O 0.5564 0.8401 0.2289  1 In 2.04
13 O 0.8401 0.5564 0.2289  1 In 2.04
14 O 0.9005 0.9005 0.6604  2 In 2.13

Here is crystalline Y2O3 at its relaxed geometry from the Materials Project database. Energies are from r²SCAN.

Properties
* formation energy from the elements: -3.845 eV per atom
* SG: Pbca

Unit cell a=5.7722 b=5.9458 c=16.6586 alpha=90.00 beta=90.00 gamma=90.00
Closest atoms and distances in Å follow each position.
Fractional coordinates of all 40 atoms:
1 Y 0.0025 0.2082 0.0705  6 O 2.22-2.37
2 Y 0.0025 0.2918 0.5705  6 O 2.22-2.37
3 Y 0.0054 0.2382 0.8175  6 O 2.24-2.37
4 Y 0.0054 0.2618 0.3175  6 O 2.24-2.37
5 Y 0.4946 0.7382 0.8175  6 O 2.24-2.37
6 Y 0.4946 0.7618 0.3175  6 O 2.24-2.37
7 Y 0.4975 0.7082 0.0705  6 O 2.22-2.37
8 Y 0.4975 0.7918 0.5705  6 O 2.22-2.37
9 Y 0.5025 0.2082 0.4295  6 O 2.22-2.37
10 Y 0.5025 0.2918 0.9295  6 O 2.22-2.37
11 Y 0.5054 0.2382 0.6825  6 O 2.24-2.37
12 Y 0.5054 0.2618 0.1825  6 O 2.24-2.37
13 Y 0.9946 0.7382 0.6825  6 O 2.24-2.37
14 Y 0.9946 0.7618 0.1825  6 O 2.24-2.37
15 Y 0.9975 0.7082 0.4295  6 O 2.22-2.37
16 Y 0.9975 0.7918 0.9295  6 O 2.22-2.37
17 O 0.1420 0.6575 0.5528  4 Y 2.22-2.37
18 O 0.1420 0.8425 0.0528  4 Y 2.22-2.37
19 O 0.1454 0.1248 0.2006  4 Y 2.25-2.37
20 O 0.1454 0.3752 0.7006  4 Y 2.25-2.37
21 O 0.2070 0.5180 0.8750  4 Y 2.22-2.35
22 O 0.2070 0.9820 0.3750  4 Y 2.22-2.35
23 O 0.2930 0.0180 0.8750  4 Y 2.22-2.35
24 O 0.2930 0.4820 0.3750  4 Y 2.22-2.35
25 O 0.3546 0.6248 0.2006  4 Y 2.25-2.37
26 O 0.3546 0.8752 0.7006  4 Y 2.25-2.37
27 O 0.3580 0.1575 0.5528  4 Y 2.22-2.37
28 O 0.3580 0.3425 0.0528  4 Y 2.22-2.37
29 O 0.6420 0.6575 0.9472  4 Y 2.22-2.37
30 O 0.6420 0.8425 0.4472  4 Y 2.22-2.37
31 O 0.6454 0.1248 0.2994  4 Y 2.25-2.37
32 O 0.6454 0.3752 0.7994  4 Y 2.25-2.37
33 O 0.7070 0.5180 0.6250  4 Y 2.22-2.35
34 O 0.7070 0.9820 0.1250  4 Y 2.22-2.35
35 O 0.7930 0.0180 0.6250  4 Y 2.22-2.35
36 O 0.7930 0.4820 0.1250  4 Y 2.22-2.35
37 O 0.8546 0.6248 0.2994  4 Y 2.25-2.37
38 O 0.8546 0.8752 0.7994  4 Y 2.25-2.37
39 O 0.8580 0.1575 0.9472  4 Y 2.22-2.37
40 O 0.8580 0.3425 0.4472  4 Y 2.22-2.37

Here is crystalline In2P3S9 at its relaxed geometry from the Materials Project database. Energies are from r²SCAN.

Properties
* formation energy from the elements: -0.480 eV per atom
* SG: P2_1/c

Unit cell a=7.0725 b=10.6048 c=18.3690 alpha=90.00 beta=106.75 gamma=90.00
Closest atoms and distances in Å follow each position.
Fractional coordinates of all 56 atoms:
1 In 0.9995 0.1489 0.1758  6 S 2.61-2.80
2 In 0.9995 0.3511 0.6758  6 S 2.61-2.80
3 In 0.0005 0.6489 0.3242  6 S 2.61-2.80
4 In 0.0005 0.8511 0.8242  6 S 2.61-2.80
5 In 0.0024 0.6790 0.0108  6 S 2.57-2.76
6 In 0.0024 0.8210 0.5108  6 S 2.57-2.76
7 In 0.9976 0.1790 0.4892  6 S 2.57-2.76
8 In 0.9976 0.3210 0.9892  6 S 2.57-2.76
9 P 0.1635 0.5089 0.8528  3 S 2.00-2.06, 1 P 2.22
10 P 0.1635 0.9911 0.3528  3 S 2.00-2.06, 1 P 2.22
11 P 0.1643 0.5038 0.5151  3 S 2.00-2.06, 1 P 2.23
12 P 0.1643 0.9962 0.0151  3 S 2.00-2.06, 1 P 2.23
13 P 0.1648 0.0135 0.6850  3 S 2.00-2.07, 1 P 2.22
14 P 0.1648 0.4865 0.1850  3 S 2.00-2.07, 1 P 2.22
15 P 0.8352 0.5135 0.8150  3 S 2.00-2.07, 1 P 2.22
16 P 0.8352 0.9865 0.3150  3 S 2.00-2.07, 1 P 2.22
17 P 0.8357 0.0038 0.9849  3 S 2.00-2.06, 1 P 2.23
18 P 0.8357 0.4962 0.4849  3 S 2.00-2.06, 1 P 2.23
19 P 0.8365 0.0089 0.6472  3 S 2.00-2.06, 1 P 2.22
20 P 0.8365 0.4911 0.1472  3 S 2.00-2.06, 1 P 2.22
21 S 0.2372 0.6732 0.9141  1 P 2.06
22 S 0.2372 0.8268 0.4141  1 P 2.06
23 S 0.2375 0.0054 0.5837  1 P 2.07
24 S 0.2375 0.4946 0.0837  1 P 2.07
25 S 0.2398 0.0086 0.9184  1 P 2.00
26 S 0.2398 0.4914 0.4184  1 P 2.00
27 S 0.2425 0.1564 0.0798  1 P 2.06
28 S 0.2425 0.3436 0.5798  1 P 2.06
29 S 0.2473 0.5163 0.7576  1 P 2.00
30 S 0.2473 0.9837 0.2576  1 P 2.00
31 S 0.2494 0.1736 0.7429  1 P 2.00
32 S 0.2494 0.3264 0.2429  1 P 2.00
33 S 0.2502 0.1495 0.4133  1 P 2.01
34 S 0.2502 0.3505 0.9133  1 P 2.01
35 S 0.2512 0.6546 0.5831  1 P 2.01
36 S 0.2512 0.8454 0.0831  1 P 2.01
37 S 0.2523 0.6452 0.2442  1 P 2.00
38 S 0.2523 0.8548 0.7442  1 P 2.00
39 S 0.7477 0.1452 0.2558  1 P 2.00
40 S 0.7477 0.3548 0.7558  1 P 2.00
41 S 0.7488 0.1546 0.9169  1 P 2.01
42 S 0.7488 0.3454 0.4169  1 P 2.01
43 S 0.7498 0.6495 0.0867  1 P 2.01
44 S 0.7498 0.8505 0.5867  1 P 2.01
45 S 0.7506 0.6736 0.7571  1 P 2.00
46 S 0.7506 0.8264 0.2571  1 P 2.00
47 S 0.7527 0.0163 0.7424  1 P 2.00
48 S 0.7527 0.4837 0.2424  1 P 2.00
49 S 0.7575 0.6564 0.4202  1 P 2.06
50 S 0.7575 0.8436 0.9202  1 P 2.06
51 S 0.7602 0.5086 0.5816  1 P 2.00
52 S 0.7602 0.9914 0.0816  1 P 2.00
53 S 0.7625 0.5054 0.9163  1 P 2.07
54 S 0.7625 0.9946 0.4163  1 P 2.07
55 S 0.7628 0.1732 0.5859  1 P 2.06
56 S 0.7628 0.3268 0.0859  1 P 2.06

Here is crystalline MgCl2 at its relaxed geometry from the Materials Project database. Energies are from r²SCAN.

Properties
* formation energy from the elements: -2.078 eV per atom

Unit cell a=3.6381 b=3.6381 c=18.1866 alpha=90.00 beta=90.00 gamma=120.00
Closest atoms and distances in Å follow each position.
Fractional coordinates of all 9 atoms:
1 Mg 0.0000 0.0000 0.0000  6 Cl 2.51
2 Mg 0.6667 0.3333 0.3333  6 Cl 2.51
3 Mg 0.3333 0.6667 0.6667  6 Cl 2.51
4 Cl 0.0000 0.0000 0.2581  3 Mg 2.51
5 Cl 0.6667 0.3333 0.0753  3 Mg 2.51
6 Cl 0.6667 0.3333 0.5914  3 Mg 2.51
7 Cl 0.3333 0.6667 0.4086  3 Mg 2.51
8 Cl 0.3333 0.6667 0.9247  3 Mg 2.51
9 Cl 0.0000 0.0000 0.7419  3 Mg 2.51

Here is crystalline Ca2TlCd at its relaxed geometry from the Materials Project database. Energies are from r²SCAN.

Properties
* formation energy from the elements: -0.460 eV per atom
* SG: P4/mmm

Unit cell a=3.8723 b=3.8723 c=7.5415 alpha=90.00 beta=90.00 gamma=90.00
Closest atoms and distances in Å follow each position.
Fractional coordinates of all 4 atoms:
1 Ca 0.0000 0.0000 0.2482  4 Cd 3.32, 4 Tl 3.33
2 Ca 0.0000 0.0000 0.7518  4 Cd 3.32, 4 Tl 3.33
3 Tl 0.5000 0.5000 0.5000  8 Ca 3.33
4 Cd 0.5000 0.5000 0.0000  8 Ca 3.32

Here is crystalline DyInAu2 at its relaxed geometry from the Materials Project database. Energies are from r²SCAN.

Properties
* formation energy from the elements: -0.794 eV per atom
* SG: Fm-3m

Unit cell a=4.9032 b=4.9032 c=4.9032 alpha=60.00 beta=60.00 gamma=60.00
Closest atoms and distances in Å follow each position.
Fractional coordinates of all 4 atoms:
1 Dy 0.0000 0.0000 0.0000  8 Au 3.00
2 In 0.5000 0.5000 0.5000  8 Au 3.00
3 Au 0.2500 0.2500 0.2500  4 In 3.00, 4 Dy 3.00
4 Au 0.7500 0.7500 0.7500  4 In 3.00, 4 Dy 3.00